Entry 1:
A plane-wave DFT calculation with PBE with a Hubbard U was carried out for V2Pb2O7 after structural relaxation.

Cell lengths 7.3622, 7.2446, 13.7579 Å; angles 72.66, 90.00, 90.00 degrees
With the nearest neighbours (Å) after each atom.
Fractional positions:
V1 0.1751 0.6150 0.5846  4 O 1.71-1.82
V2 0.6751 0.3850 0.9154  4 O 1.71-1.82
V3 0.8249 0.3850 0.4154  4 O 1.71-1.82
V4 0.3249 0.6150 0.0846  4 O 1.71-1.82
V5 0.4335 0.7936 0.3888  4 O 1.69-1.84
V6 0.9335 0.2064 0.1112  4 O 1.69-1.84
V7 0.5665 0.2064 0.6112  4 O 1.69-1.84
V8 0.0665 0.7936 0.8888  4 O 1.69-1.84
Pb1 0.3319 0.3253 0.3436  3 O 2.38-2.55
Pb2 0.8319 0.6747 0.1564  3 O 2.38-2.55
Pb3 0.6681 0.6747 0.6564  3 O 2.38-2.55
Pb4 0.1681 0.3253 0.8436  3 O 2.38-2.55
Pb5 0.1037 0.0487 0.6305  4 O 2.40-2.64
Pb6 0.6037 0.9513 0.8695  4 O 2.40-2.64
Pb7 0.8963 0.9513 0.3695  4 O 2.40-2.64
Pb8 0.3963 0.0487 0.1305  4 O 2.40-2.64
O1 0.4046 0.3923 0.1571  1 V 1.73
O2 0.9046 0.6077 0.3429  1 V 1.73
O3 0.5954 0.6077 0.8429  1 V 1.73
O4 0.0954 0.3923 0.6571  1 V 1.73
O5 0.6761 0.2884 0.3481  1 V 1.71
O6 0.1761 0.7116 0.1519  1 V 1.71
O7 0.3239 0.7116 0.6519  1 V 1.71
O8 0.8239 0.2884 0.8481  1 V 1.71
O9 0.0038 0.2196 0.4506  1 V 1.75
O10 0.5038 0.7804 0.0494  1 V 1.75
O11 0.9962 0.7804 0.5494  1 V 1.75
O12 0.4962 0.2196 0.9506  1 V 1.75
O13 0.7903 0.3986 0.0303  2 V 1.82-1.84
O14 0.2903 0.6014 0.4697  2 V 1.82-1.84
O15 0.2097 0.6014 0.9697  2 V 1.82-1.84
O16 0.7097 0.3986 0.5303  2 V 1.82-1.84
O17 0.3842 0.1574 0.5431  1 V 1.73
O18 0.8842 0.8426 0.9569  1 V 1.73
O19 0.6158 0.8426 0.4569  1 V 1.73
O20 0.1158 0.1574 0.0431  1 V 1.73
O21 0.1927 0.0039 0.8343  1 V 1.75
O22 0.6927 0.9961 0.6657  1 V 1.75
O23 0.8073 0.9961 0.1657  1 V 1.75
O24 0.3073 0.0039 0.3343  1 V 1.75
O25 0.4912 0.2824 0.7087  1 V 1.69
O26 0.9912 0.7176 0.7913  1 V 1.69
O27 0.5088 0.7176 0.2913  1 V 1.69
O28 0.0088 0.2824 0.2087  1 V 1.69

Results
Symmetry: P2_1/c



Entry 2:
A plane-wave DFT calculation with PBE with a Hubbard U was carried out for V2PbO6 after structural relaxation.

Cell lengths 3.6785, 9.9635, 13.0892 Å; angles 90.00, 90.00, 90.00 degrees
With the nearest neighbours (Å) after each atom.
Fractional positions:
V1 0.2500 0.7408 0.9093  2 O 1.64-1.75
V2 0.2500 0.5042 0.1273  2 O 1.68-1.71
V3 0.7500 0.4958 0.8727  2 O 1.68-1.71
V4 0.7500 0.2592 0.0907  2 O 1.64-1.75
V5 0.7500 0.7592 0.4093  2 O 1.64-1.75
V6 0.2500 0.0042 0.3727  2 O 1.68-1.71
V7 0.2500 0.2408 0.5907  2 O 1.64-1.75
V8 0.7500 0.9958 0.6273  2 O 1.68-1.71
Pb1 0.7500 0.3699 0.3807  8 O 2.64-2.70
Pb2 0.2500 0.1301 0.8807  8 O 2.64-2.70
Pb3 0.7500 0.8699 0.1193  8 O 2.64-2.70
Pb4 0.2500 0.6301 0.6193  8 O 2.64-2.70
O1 0.7500 0.5229 0.7463  1 V 1.68
O2 0.7500 0.6912 0.9314  3 V 1.93-2.09
O3 0.7500 0.1073 0.0242  1 V 1.75
O4 0.7500 0.9671 0.4101  3 V 1.94-2.07
O5 0.7500 0.1912 0.5686  3 V 1.93-2.09
O6 0.7500 0.3266 0.8955  1 V 1.71
O7 0.2500 0.8088 0.4314  3 V 1.93-2.09
O8 0.2500 0.4771 0.2537  1 V 1.68
O9 0.7500 0.2217 0.2127  1 V 1.64
O10 0.7500 0.6073 0.4758  1 V 1.75
O11 0.2500 0.8927 0.9758  1 V 1.75
O12 0.7500 0.7217 0.2873  1 V 1.64
O13 0.2500 0.9771 0.2463  1 V 1.68
O14 0.2500 0.3088 0.0686  3 V 1.93-2.09
O15 0.2500 0.3927 0.5242  1 V 1.75
O16 0.2500 0.2783 0.7127  1 V 1.64
O17 0.2500 0.1734 0.3955  1 V 1.71
O18 0.7500 0.0229 0.7537  1 V 1.68
O19 0.2500 0.7783 0.7873  1 V 1.64
O20 0.7500 0.8266 0.6045  1 V 1.71
O21 0.2500 0.0329 0.5899  3 V 1.94-2.07
O22 0.7500 0.4671 0.0899  3 V 1.94-2.07
O23 0.2500 0.6734 0.1045  1 V 1.71
O24 0.2500 0.5329 0.9101  3 V 1.94-2.07

Results
M_tot: 0.00 μB per atom
Symmetry: Pnma



Number 1: calculated formation energy -2145 meV per atom, corrected total energy (MP2020 scheme) -83.825 eV per formula unit. Number 2: calculated formation energy -2184 meV per atom, corrected total energy (MP2020 scheme) -71.223 eV per formula unit.